Record 1
# Ni2P2O9

A relaxed Ni2P2O9 crystal (PBE with a Hubbard U, the Materials Project database).

POSCAR file:
```
Ni2P2O9
1.0
-2.607 2.827 5.018
-2.401 -6.893 2.636
12.040 -1.482 7.090
P O Ni
8 36 8
Direct
0.250 0.894 0.812 P
0.250 0.352 0.939 P
0.250 0.148 0.439 P
0.750 0.106 0.188 P
0.250 0.606 0.312 P
0.750 0.852 0.561 P
0.750 0.648 0.061 P
0.750 0.394 0.688 P
0.440 0.364 0.869 O
0.750 0.271 0.253 O
0.750 0.528 0.772 O
0.750 0.508 0.987 O
0.250 0.855 0.046 O
0.940 0.636 0.131 O
0.548 0.403 0.629 O
0.560 0.636 0.131 O
0.750 0.992 0.487 O
0.250 0.165 0.982 O
0.250 0.729 0.747 O
0.452 0.597 0.371 O
0.750 0.355 0.454 O
0.952 0.097 0.129 O
0.250 0.771 0.247 O
0.750 0.972 0.272 O
0.250 0.472 0.228 O
0.452 0.903 0.871 O
0.440 0.136 0.369 O
0.560 0.864 0.631 O
0.060 0.364 0.869 O
0.750 0.665 0.518 O
0.250 0.645 0.546 O
0.940 0.864 0.631 O
0.048 0.903 0.871 O
0.750 0.835 0.018 O
0.750 0.145 0.954 O
0.250 0.335 0.482 O
0.060 0.136 0.369 O
0.250 0.492 0.013 O
0.548 0.097 0.129 O
0.250 0.008 0.513 O
0.750 0.229 0.753 O
0.250 0.028 0.728 O
0.048 0.597 0.371 O
0.952 0.403 0.629 O
0.250 0.647 0.122 Ni
0.750 0.147 0.378 Ni
0.000 0.000 0.000 Ni
0.750 0.353 0.878 Ni
0.500 0.500 0.500 Ni
0.000 0.500 0.500 Ni
0.500 0.000 0.000 Ni
0.250 0.853 0.622 Ni
```

Calculated values
Formation energy ... -1658.4 meV per atom
ρ ... 3.1 g cm⁻³
Total energy after the MP2020 corrections ... -6.81 eV/atom
Uncorrected energy ... -5.939 eV/atom

Record 2
# Ni3P2O8

A relaxed Ni3P2O8 crystal (PBE with a Hubbard U, the Materials Project database).

POSCAR file:
```
Ni3P2O8
1.0
9.942 0.000 0.000
0.000 8.679 0.000
0.000 3.005 20.077
O Ni P
96 36 24
Direct
0.934 0.109 0.235 O
0.741 0.577 0.858 O
0.134 0.939 0.342 O
0.106 0.583 0.013 O
0.286 0.662 0.706 O
0.759 0.077 0.358 O
0.876 0.770 0.327 O
0.124 0.230 0.673 O
0.259 0.567 0.303 O
0.834 0.284 0.892 O
0.506 0.157 0.017 O
0.762 0.240 0.482 O
0.340 0.114 0.927 O
0.465 0.700 0.860 O
0.214 0.162 0.206 O
0.542 0.442 0.931 O
0.463 0.003 0.173 O
0.606 0.917 0.487 O
0.577 0.122 0.595 O
0.006 0.343 0.483 O
0.064 0.400 0.215 O
0.866 0.061 0.658 O
0.160 0.614 0.427 O
0.066 0.891 0.765 O
0.484 0.533 0.360 O
0.942 0.728 0.890 O
0.241 0.923 0.642 O
0.741 0.433 0.697 O
0.201 0.821 0.877 O
0.262 0.260 0.018 O
0.963 0.497 0.327 O
0.556 0.768 0.254 O
0.558 0.228 0.390 O
0.634 0.561 0.158 O
0.679 0.119 0.734 O
0.624 0.270 0.827 O
0.187 0.054 0.444 O
0.035 0.200 0.360 O
0.238 0.760 0.518 O
0.796 0.516 0.452 O
0.894 0.417 0.987 O
0.366 0.439 0.842 O
0.077 0.378 0.905 O
0.813 0.946 0.556 O
0.434 0.391 0.265 O
0.714 0.338 0.294 O
0.494 0.843 0.983 O
0.687 0.446 0.056 O
0.564 0.100 0.285 O
0.259 0.423 0.142 O
0.525 0.643 0.481 O
0.666 0.784 0.392 O
0.394 0.083 0.513 O
0.056 0.732 0.246 O
0.296 0.984 0.048 O
0.299 0.321 0.377 O
0.058 0.272 0.110 O
0.537 0.997 0.827 O
0.975 0.143 0.981 O
0.166 0.716 0.108 O
0.566 0.609 0.735 O
0.994 0.657 0.517 O
0.423 0.878 0.405 O
0.241 0.067 0.803 O
0.334 0.216 0.608 O
0.535 0.300 0.140 O
0.444 0.232 0.746 O
0.475 0.357 0.519 O
0.821 0.619 0.234 O
0.516 0.467 0.640 O
0.204 0.484 0.548 O
0.037 0.503 0.673 O
0.738 0.740 0.982 O
0.984 0.967 0.140 O
0.965 0.800 0.640 O
0.321 0.881 0.266 O
0.313 0.554 0.944 O
0.958 0.942 0.431 O
0.799 0.179 0.123 O
0.458 0.558 0.069 O
0.042 0.058 0.569 O
0.944 0.268 0.754 O
0.179 0.381 0.766 O
0.442 0.772 0.610 O
0.786 0.838 0.794 O
0.923 0.622 0.095 O
0.660 0.886 0.073 O
0.025 0.857 0.019 O
0.759 0.933 0.197 O
0.936 0.600 0.785 O
0.016 0.033 0.860 O
0.376 0.730 0.173 O
0.701 0.679 0.623 O
0.704 0.016 0.952 O
0.436 0.900 0.715 O
0.840 0.386 0.573 O
0.370 0.773 0.073 Ni
0.383 0.462 0.742 Ni
0.225 0.263 0.857 Ni
0.698 0.896 0.298 Ni
0.617 0.538 0.258 Ni
0.630 0.227 0.927 Ni
0.915 0.932 0.940 Ni
0.870 0.727 0.427 Ni
0.585 0.432 0.440 Ni
0.879 0.389 0.085 Ni
0.379 0.111 0.415 Ni
0.725 0.237 0.643 Ni
0.073 0.697 0.718 Ni
0.621 0.889 0.585 Ni
0.802 0.396 0.798 Ni
0.085 0.068 0.060 Ni
0.284 0.469 0.041 Ni
0.275 0.763 0.357 Ni
0.415 0.568 0.560 Ni
0.130 0.273 0.573 Ni
0.883 0.038 0.758 Ni
0.117 0.962 0.242 Ni
0.775 0.737 0.143 Ni
0.897 0.594 0.607 Ni
0.103 0.406 0.393 Ni
0.716 0.531 0.959 Ni
0.927 0.303 0.282 Ni
0.216 0.969 0.541 Ni
0.427 0.197 0.218 Ni
0.397 0.906 0.893 Ni
0.603 0.094 0.107 Ni
0.198 0.604 0.202 Ni
0.302 0.104 0.702 Ni
0.784 0.031 0.459 Ni
0.121 0.611 0.915 Ni
0.573 0.803 0.782 Ni
0.931 0.655 0.283 P
0.069 0.345 0.717 P
0.854 0.370 0.497 P
0.629 0.552 0.673 P
0.431 0.845 0.217 P
0.854 0.690 0.832 P
0.354 0.810 0.668 P
0.449 0.196 0.559 P
0.129 0.948 0.827 P
0.371 0.448 0.327 P
0.569 0.155 0.783 P
0.354 0.130 0.003 P
0.575 0.466 0.107 P
0.146 0.630 0.503 P
0.949 0.304 0.941 P
0.075 0.034 0.393 P
0.146 0.310 0.168 P
0.925 0.966 0.607 P
0.051 0.696 0.059 P
0.646 0.870 0.997 P
0.551 0.804 0.441 P
0.871 0.052 0.173 P
0.646 0.190 0.332 P
0.425 0.534 0.893 P
```

Calculated values
Formation energy ... -1999.1 meV per atom
Relative energy among the computed polymorphs ... 2.60 kcal/mol of atoms
ρ ... 4.2 g cm⁻³
Total energy after the MP2020 corrections ... -7.21 eV/atom
Uncorrected energy ... -6.202 eV/atom

Record 3
# Ni7P8O28

A relaxed Ni7P8O28 crystal (PBE with a Hubbard U, the Materials Project database).

POSCAR file:
```
Ni7P8O28
1.0
-5.359 -0.302 -3.551
-1.223 -6.277 0.718
-13.038 4.745 19.272
O Ni P
56 14 16
Direct
0.913 0.660 0.372 O
0.773 0.415 0.742 O
0.281 0.728 0.594 O
0.340 0.087 0.628 O
0.376 0.907 0.021 O
0.965 0.019 0.598 O
0.613 0.359 0.630 O
0.986 0.419 0.623 O
0.272 0.719 0.406 O
0.043 0.705 0.776 O
0.581 0.014 0.377 O
0.722 0.707 0.842 O
0.293 0.278 0.158 O
0.609 0.683 0.464 O
0.419 0.986 0.877 O
0.710 0.608 0.559 O
0.253 0.023 0.503 O
0.728 0.281 0.906 O
0.485 0.271 0.797 O
0.608 0.710 0.941 O
0.415 0.773 0.758 O
0.227 0.585 0.242 O
0.093 0.624 0.979 O
0.391 0.317 0.964 O
0.359 0.613 0.870 O
0.870 0.123 0.813 O
0.747 0.977 0.003 O
0.981 0.035 0.402 O
0.130 0.877 0.313 O
0.515 0.729 0.297 O
0.278 0.293 0.342 O
0.387 0.641 0.130 O
0.317 0.391 0.536 O
0.705 0.043 0.724 O
0.907 0.376 0.479 O
0.014 0.581 0.123 O
0.707 0.722 0.658 O
0.035 0.981 0.098 O
0.729 0.515 0.203 O
0.877 0.130 0.187 O
0.087 0.340 0.872 O
0.290 0.392 0.059 O
0.023 0.253 0.997 O
0.957 0.295 0.276 O
0.392 0.290 0.441 O
0.019 0.965 0.902 O
0.660 0.913 0.128 O
0.641 0.387 0.370 O
0.977 0.747 0.497 O
0.624 0.093 0.521 O
0.123 0.870 0.687 O
0.585 0.227 0.258 O
0.683 0.609 0.036 O
0.719 0.272 0.094 O
0.271 0.485 0.703 O
0.295 0.957 0.224 O
0.961 0.329 0.363 Ni
0.069 0.931 0.000 Ni
0.931 0.069 0.500 Ni
0.707 0.581 0.121 Ni
0.274 0.274 0.250 Ni
0.419 0.293 0.879 Ni
0.329 0.961 0.137 Ni
0.293 0.419 0.621 Ni
0.726 0.726 0.750 Ni
0.581 0.707 0.379 Ni
0.301 0.699 0.500 Ni
0.699 0.301 0.000 Ni
0.039 0.671 0.863 Ni
0.671 0.039 0.637 Ni
0.180 0.930 0.623 P
0.070 0.820 0.377 P
0.810 0.596 0.497 P
0.525 0.762 0.879 P
0.699 0.224 0.767 P
0.475 0.238 0.379 P
0.930 0.180 0.877 P
0.190 0.404 0.997 P
0.776 0.301 0.233 P
0.301 0.776 0.267 P
0.596 0.810 0.003 P
0.224 0.699 0.733 P
0.238 0.475 0.121 P
0.820 0.070 0.123 P
0.762 0.525 0.621 P
0.404 0.190 0.503 P
```

Calculated values
Formation energy ... -2175.7 meV per atom
ρ ... 3.8 g cm⁻³
Total energy after the MP2020 corrections ... -7.35 eV/atom
Uncorrected energy ... -6.485 eV/atom